Entry from the Materials Project: a relaxed structure of HgRhF6 (r²SCAN).

Output
space-group type = R-3, No. 148

Cell: 5.710 5.710 5.710 Å, 53.21 53.21 53.21°
Fractional positions:
F 0.790 0.395 0.046
F 0.954 0.210 0.605
F 0.605 0.954 0.210
F 0.210 0.605 0.954
F 0.395 0.046 0.790
F 0.046 0.790 0.395
Rh 0.000 0.000 0.000
Hg 0.500 0.500 0.500

---

Entry from the Materials Project: a relaxed structure of Hg3S2F2 (r²SCAN).

Output
space-group type = I2_13, No. 199

Cell: 7.093 7.093 7.093 Å, 109.47 109.47 109.47°
Fractional positions:
Hg 0.579 0.329 0.250
Hg 0.921 0.171 0.750
Hg 0.171 0.750 0.921
Hg 0.250 0.579 0.329
Hg 0.750 0.921 0.171
Hg 0.329 0.250 0.579
S 0.922 0.500 0.000
S 0.578 0.578 0.578
S 0.000 0.922 0.500
S 0.500 0.000 0.922
F 0.500 0.000 0.436
F 0.436 0.500 0.000
F 0.064 0.064 0.064
F 0.000 0.436 0.500

---

Entry from the Materials Project: a relaxed structure of Hg3Se2F2 (r²SCAN).

Output
space-group type = I2_13, No. 199

Cell: 7.345 7.345 7.345 Å, 109.47 109.47 109.47°
Fractional positions:
F 0.500 0.000 0.023
F 0.477 0.477 0.477
F 0.000 0.023 0.500
F 0.023 0.500 0.000
Hg 0.250 0.164 0.914
Hg 0.750 0.336 0.586
Hg 0.586 0.750 0.336
Hg 0.164 0.914 0.250
Hg 0.336 0.586 0.750
Hg 0.914 0.250 0.164
Se 0.000 0.581 0.500
Se 0.500 0.000 0.581
Se 0.581 0.500 0.000
Se 0.919 0.919 0.919

---

Entry from the Materials Project: a relaxed structure of TaHg3F6 (r²SCAN).

Output
space-group type = P-31m, No. 162

Cell: 5.131 5.131 7.495 Å, 90.00 90.00 120.00°
Fractional positions:
Hg 0.667 0.333 0.000
Hg 0.333 0.667 0.000
Hg 0.000 0.000 0.000
F 0.301 0.000 0.652
F 0.699 0.699 0.652
F 0.000 0.301 0.652
F 0.699 0.000 0.348
F 0.000 0.699 0.348
F 0.301 0.301 0.348
Ta 0.000 0.000 0.500

---

Entry from the Materials Project: a relaxed structure of Ta2Hg2F11 (r²SCAN).

Output
space-group type = C2/c, No. 15

Cell: 12.107 12.107 14.476 Å, 55.03 55.03 35.77°
Fractional positions:
F 0.505 0.280 0.216
F 0.542 0.124 0.094
F 0.777 0.965 0.391
F 0.790 0.612 0.998
F 0.264 0.112 0.745
F 0.720 0.495 0.284
F 0.146 0.323 0.881
F 0.093 0.998 0.853
F 0.210 0.388 0.002
F 0.166 0.512 0.149
F 0.612 0.790 0.498
F 0.854 0.677 0.119
F 0.488 0.834 0.351
F 0.323 0.146 0.381
F 0.888 0.736 0.755
F 0.965 0.777 0.891
F 0.878 0.925 0.535
F 0.306 0.742 0.016
F 0.035 0.223 0.109
F 0.112 0.264 0.245
F 0.002 0.907 0.647
F 0.876 0.458 0.406
F 0.709 0.410 0.080
F 0.122 0.075 0.465
F 0.694 0.258 0.984
F 0.458 0.876 0.906
F 0.512 0.166 0.649
F 0.280 0.505 0.716
F 0.736 0.888 0.255
F 0.590 0.291 0.420
F 0.410 0.709 0.580
F 0.907 0.002 0.147
F 0.388 0.210 0.502
F 0.925 0.878 0.035
F 0.495 0.720 0.784
F 0.291 0.590 0.920
F 0.998 0.093 0.353
F 0.834 0.488 0.851
F 0.124 0.542 0.594
F 0.258 0.694 0.484
F 0.742 0.306 0.516
F 0.075 0.122 0.965
F 0.677 0.854 0.619
F 0.223 0.035 0.609
Hg 0.661 0.203 0.786
Hg 0.203 0.661 0.286
Hg 0.339 0.797 0.214
Hg 0.463 0.954 0.126
Hg 0.537 0.046 0.874
Hg 0.797 0.339 0.714
Hg 0.046 0.537 0.374
Hg 0.954 0.463 0.626
Ta 0.093 0.699 0.630
Ta 0.918 0.383 0.982
Ta 0.301 0.907 0.870
Ta 0.699 0.093 0.130
Ta 0.907 0.301 0.370
Ta 0.082 0.617 0.018
Ta 0.617 0.082 0.518
Ta 0.383 0.918 0.482

---

Entry from the Materials Project: a relaxed structure of K3HoF6 (r²SCAN).

Output
space-group type = P2_1/c, No. 14

Cell: 6.556 6.242 10.756 Å, 55.90 90.00 90.00°
Fractional positions:
K 0.059 0.725 0.755
K 0.000 0.500 0.500
K 0.441 0.725 0.255
K 0.559 0.275 0.745
K 0.941 0.275 0.245
K 0.500 0.500 0.000
F 0.441 0.894 0.725
F 0.325 0.667 0.551
F 0.675 0.333 0.449
F 0.175 0.667 0.051
F 0.729 0.760 0.073
F 0.941 0.106 0.775
F 0.059 0.894 0.225
F 0.559 0.106 0.275
F 0.229 0.240 0.427
F 0.825 0.333 0.949
F 0.771 0.760 0.573
F 0.271 0.240 0.927
Ho 0.500 0.000 0.500
Ho 0.000 0.000 0.000

---

Entry from the Materials Project: a relaxed structure of K2HoF5 (r²SCAN).

Output
space-group type = Pnma, No. 62

Cell: 6.541 7.186 10.711 Å, 90.00 90.00 90.00°
Fractional positions:
F 0.369 0.750 0.666
F 0.869 0.250 0.834
F 0.896 0.750 0.513
F 0.396 0.250 0.987
F 0.838 0.750 0.807
F 0.662 0.750 0.307
F 0.853 0.035 0.077
F 0.631 0.250 0.334
F 0.131 0.750 0.166
F 0.647 0.465 0.577
F 0.147 0.535 0.923
F 0.647 0.035 0.577
F 0.853 0.465 0.077
F 0.338 0.250 0.693
F 0.353 0.965 0.423
F 0.147 0.965 0.923
F 0.604 0.750 0.013
F 0.162 0.250 0.193
F 0.353 0.535 0.423
F 0.104 0.250 0.487
K 0.535 0.003 0.829
K 0.465 0.997 0.171
K 0.465 0.503 0.171
K 0.965 0.497 0.329
K 0.035 0.997 0.671
K 0.035 0.503 0.671
K 0.965 0.003 0.329
K 0.535 0.497 0.829
Ho 0.935 0.750 0.003
Ho 0.065 0.250 0.997
Ho 0.565 0.750 0.503
Ho 0.435 0.250 0.497

---

Entry from the Materials Project: a relaxed structure of Na5Ho4Si4O16F (r²SCAN).

Output
space-group type = I-4, No. 82

Cell: 8.556 8.556 8.556 Å, 95.67 95.67 143.35°
Fractional positions:
Si 0.258 0.115 0.351
Si 0.885 0.236 0.143
Si 0.764 0.907 0.649
Si 0.093 0.742 0.857
O 0.271 0.304 0.441
O 0.372 0.093 0.498
O 0.708 0.947 0.173
O 0.053 0.225 0.761
O 0.864 0.830 0.559
O 0.185 0.419 0.137
O 0.170 0.729 0.034
O 0.775 0.535 0.827
O 0.907 0.405 0.278
O 0.696 0.136 0.966
O 0.282 0.048 0.863
O 0.465 0.292 0.239
O 0.581 0.718 0.766
O 0.595 0.874 0.502
O 0.126 0.628 0.722
O 0.952 0.815 0.234
Na 0.115 0.421 0.517
Na 0.904 0.599 0.483
Na 0.000 0.000 0.000
Na 0.401 0.885 0.306
Na 0.579 0.096 0.694
Ho 0.592 0.658 0.297
Ho 0.342 0.639 0.933
Ho 0.361 0.295 0.703
Ho 0.705 0.408 0.067
F 0.500 0.500 0.000

---

Entry from the Materials Project: a relaxed structure of HoSF (r²SCAN).

Output
space-group type = P4/nmm, No. 129

Cell: 3.744 3.744 6.787 Å, 90.00 90.00 90.00°
Fractional positions:
Ho 0.250 0.250 0.227
Ho 0.750 0.750 0.773
S 0.750 0.750 0.355
S 0.250 0.250 0.645
F 0.750 0.250 0.000
F 0.250 0.750 0.000

---

Entry from the Materials Project: a relaxed structure of HoSeF (r²SCAN).

Output
space-group type = Pnma, No. 62

Cell: 4.068 6.272 9.887 Å, 90.00 90.00 90.00°
Fractional positions:
Ho 0.750 0.733 0.078
Ho 0.250 0.233 0.422
Ho 0.750 0.767 0.578
Ho 0.250 0.267 0.922
F 0.750 0.409 0.967
F 0.250 0.909 0.533
F 0.750 0.091 0.467
F 0.250 0.591 0.033
Se 0.750 0.965 0.834
Se 0.250 0.035 0.166
Se 0.250 0.465 0.666
Se 0.750 0.535 0.334

---

Entry from the Materials Project: a relaxed structure of HoZrF7 (r²SCAN).

Output
space-group type = P2_1, No. 4

Cell: 5.676 5.999 8.156 Å, 102.64 90.00 90.00°
Fractional positions:
F 0.004 0.622 0.218
F 0.932 0.074 0.230
F 0.504 0.378 0.782
F 0.992 0.458 0.788
F 0.451 0.051 0.241
F 0.197 0.245 0.025
F 0.697 0.755 0.975
F 0.894 0.460 0.476
F 0.492 0.542 0.212
F 0.394 0.540 0.524
F 0.951 0.949 0.759
F 0.700 0.867 0.479
F 0.432 0.926 0.770
F 0.200 0.133 0.521
Zr 0.708 0.812 0.226
Zr 0.208 0.188 0.774
Ho 0.198 0.346 0.314
Ho 0.698 0.654 0.686

---

Entry from the Materials Project: a relaxed structure of SbI5F6 (r²SCAN).

Output
space-group type = P-1, No. 2

Cell: 8.240 8.456 15.511 Å, 99.63 94.55 110.41°
Fractional positions:
F 0.772 0.871 0.938
F 0.430 0.966 0.744
F 0.570 0.034 0.256
F 0.093 0.874 0.917
F 0.478 0.664 0.707
F 0.973 0.835 0.073
F 0.522 0.336 0.293
F 0.907 0.126 0.083
F 0.596 0.737 0.558
F 0.228 0.129 0.062
F 0.287 0.750 0.588
F 0.027 0.165 0.927
F 0.251 0.042 0.284
F 0.404 0.263 0.442
F 0.438 0.956 0.404
F 0.713 0.250 0.412
F 0.562 0.044 0.596
F 0.749 0.958 0.716
I 0.040 0.331 0.260
I 0.838 0.748 0.238
I 0.831 0.459 0.581
I 0.549 0.177 0.934
I 0.244 0.584 0.163
I 0.342 0.581 0.909
I 0.162 0.252 0.762
I 0.658 0.419 0.091
I 0.451 0.823 0.066
I 0.169 0.541 0.419
I 0.698 0.727 0.390
I 0.000 0.000 0.500
I 0.302 0.273 0.610
I 0.756 0.416 0.837
I 0.960 0.669 0.740
Sb 0.480 0.144 0.347
Sb 0.520 0.856 0.653
Sb 0.000 0.000 0.000

---

Entry from the Materials Project: a relaxed structure of Sn3IF5 (r²SCAN).

Output
space-group type = P2_1/c, No. 14

Cell: 12.996 4.300 13.815 Å, 71.12 90.00 90.00°
Fractional positions:
F 0.337 0.667 0.338
F 0.012 0.111 0.380
F 0.277 0.102 0.898
F 0.837 0.333 0.162
F 0.512 0.889 0.120
F 0.988 0.889 0.620
F 0.385 0.559 0.017
F 0.399 0.312 0.225
F 0.223 0.102 0.398
F 0.899 0.688 0.275
F 0.885 0.441 0.483
F 0.488 0.111 0.880
F 0.115 0.559 0.517
F 0.615 0.441 0.983
F 0.163 0.667 0.838
F 0.663 0.333 0.662
F 0.777 0.898 0.602
F 0.723 0.898 0.102
F 0.601 0.688 0.775
F 0.101 0.312 0.725
I 0.878 0.612 0.877
I 0.122 0.388 0.123
I 0.622 0.612 0.377
I 0.378 0.388 0.623
Sn 0.623 0.231 0.149
Sn 0.348 0.799 0.130
Sn 0.108 0.162 0.894
Sn 0.152 0.799 0.630
Sn 0.848 0.201 0.370
Sn 0.608 0.838 0.606
Sn 0.877 0.231 0.649
Sn 0.123 0.769 0.351
Sn 0.392 0.162 0.394
Sn 0.652 0.201 0.870
Sn 0.892 0.838 0.106
Sn 0.377 0.769 0.851

---

Entry from the Materials Project: a relaxed structure of XeIF7 (r²SCAN).

Output
space-group type = I4/m, No. 87

Cell: 7.592 7.592 7.592 Å, 120.17 120.17 89.70°
Fractional positions:
F 0.325 0.501 0.302
F 0.879 0.879 0.000
F 0.255 0.402 0.657
F 0.402 0.745 0.147
F 0.977 0.675 0.176
F 0.501 0.198 0.176
F 0.675 0.499 0.698
F 0.598 0.255 0.853
F 0.023 0.325 0.824
F 0.499 0.802 0.824
F 0.121 0.121 0.000
F 0.745 0.598 0.343
F 0.802 0.977 0.302
F 0.198 0.023 0.698
I 0.292 0.292 0.000
I 0.708 0.708 0.000
Xe 0.000 0.500 0.500
Xe 0.500 0.000 0.500

---

Entry from the Materials Project: a relaxed structure of Yb2I2F (r²SCAN).

Output
space-group type = P4/mmm, No. 123

Cell: 3.981 3.981 13.939 Å, 90.00 90.00 90.00°
Fractional positions:
F 0.500 0.500 0.000
I 0.500 0.500 0.347
I 0.500 0.500 0.653
Yb 0.500 0.500 0.151
Yb 0.500 0.500 0.849

---

Total energy list, top to bottom, in eV per atom: -13.17; -25.21; -27.01; -23.91; -18.30; -10.55; -11.34; -12.67; -18.01; -19.99; -12.83; -15.36; -14.79; -9.10; -26.27
Calculated density list, top to bottom, in Mg/m³: 6.3; 8.5; 8.7; 8.7; 6.5; 3.6; 4.5; 5.4; 7.5; 6.9; 4.8; 4.4; 5.3; 4.2; 4.7
ΔH_f (0 K) list, top to bottom, in meV per atom: -1634; -861; -867; -2365; -2949; -3578; -3769; -3231; -3333; -3214; -4214; -1424; -2072; -1290; -1210